No. 1
Crystalline Cu3O2F2 at its relaxed geometry. Source: Materials Project, functional PBE.

Cell lengths 8.0393, 8.2042, 10.3712 Å; angles 90.00, 107.40, 90.00 degrees
Atoms (fractional coordinates):
Cu 0.0499 0.0724 0.2681
Cu 0.0499 0.4276 0.7681
Cu 0.0943 0.1534 0.9929
Cu 0.0943 0.3466 0.4929
Cu 0.1923 0.0132 0.5698
Cu 0.1923 0.4868 0.0698
Cu 0.2670 0.6803 0.6660
Cu 0.2670 0.8197 0.1660
Cu 0.3949 0.5806 0.3806
Cu 0.3949 0.9194 0.8806
Cu 0.4248 0.2089 0.3556
Cu 0.4248 0.2911 0.8556
Cu 0.5752 0.7089 0.1444
Cu 0.5752 0.7911 0.6444
Cu 0.6051 0.0806 0.1194
Cu 0.6051 0.4194 0.6194
Cu 0.7330 0.1803 0.8340
Cu 0.7330 0.3197 0.3340
Cu 0.8077 0.5132 0.9302
Cu 0.8077 0.9868 0.4302
Cu 0.9057 0.6534 0.5071
Cu 0.9057 0.8466 0.0071
Cu 0.9501 0.5724 0.2319
Cu 0.9501 0.9276 0.7319
O 0.0041 0.1263 0.4328
O 0.0041 0.3737 0.9328
O 0.0983 0.5203 0.6164
O 0.0983 0.9797 0.1164
O 0.3768 0.6138 0.1903
O 0.3768 0.8862 0.6903
O 0.4383 0.5987 0.5747
O 0.4383 0.9013 0.0747
O 0.5617 0.0987 0.9253
O 0.5617 0.4013 0.4253
O 0.6232 0.1138 0.3097
O 0.6232 0.3862 0.8097
O 0.9017 0.0203 0.8836
O 0.9017 0.4797 0.3836
O 0.9959 0.6263 0.0672
O 0.9959 0.8737 0.5672
F 0.1663 0.6947 0.3352
F 0.1663 0.8053 0.8352
F 0.2053 0.1648 0.8214
F 0.2053 0.3352 0.3214
F 0.3018 0.0073 0.3663
F 0.3018 0.4927 0.8663
F 0.3112 0.2295 0.5945
F 0.3112 0.2705 0.0945
F 0.6888 0.7295 0.9055
F 0.6888 0.7705 0.4055
F 0.6982 0.5073 0.1337
F 0.6982 0.9927 0.6337
F 0.7947 0.6648 0.6786
F 0.7947 0.8352 0.1785
F 0.8337 0.1947 0.1648
F 0.8337 0.3053 0.6648

As for the excess energy over the best structure of this formula in the dataset: 11 meV per atom. As for the energy of formation: -1265.7 meV per atom. The calculation puts the total magnetization at 8.00 μB per cell. The calculation puts the MP2020-corrected energy at -4.9833 eV/atom. As for the crystal system: monoclinic.

No. 2
Crystalline BF3 at its relaxed geometry. Source: Materials Project, functional PBE.

Cell lengths 4.8455, 14.2717, 7.5276 Å; angles 90.00, 107.56, 90.00 degrees
Atoms (fractional coordinates):
B 0.0237 0.1161 0.2789
B 0.0237 0.3839 0.7789
B 0.3632 0.6358 0.7334
B 0.3632 0.8642 0.2334
B 0.6368 0.1358 0.7666
B 0.6368 0.3642 0.2666
B 0.9763 0.6161 0.2211
B 0.9763 0.8839 0.7211
F 0.0399 0.1282 0.1068
F 0.0399 0.3718 0.6068
F 0.2049 0.5750 0.1937
F 0.2049 0.9250 0.6937
F 0.2393 0.1463 0.4231
F 0.2393 0.3537 0.9231
F 0.2494 0.7159 0.7698
F 0.2494 0.7841 0.2698
F 0.2666 0.5551 0.7801
F 0.2666 0.9449 0.2801
F 0.4291 0.1370 0.8472
F 0.4291 0.3630 0.3472
F 0.5709 0.6370 0.6528
F 0.5709 0.8630 0.1528
F 0.7334 0.0551 0.7199
F 0.7334 0.4449 0.2199
F 0.7506 0.2159 0.7302
F 0.7506 0.2841 0.2302
F 0.7607 0.6463 0.0769
F 0.7607 0.8537 0.5769
F 0.7951 0.0750 0.3063
F 0.7951 0.4250 0.8063
F 0.9601 0.6282 0.3932
F 0.9601 0.8718 0.8932

As for the energy of formation: -3110.0 meV per atom. The calculation puts the MP2020-corrected energy at -6.2158 eV/atom. As for the crystal system: monoclinic.

> MP2020-corrected energy of number 2 (BF3)?

-6.2158 eV/atom